Record 1
Entry from the Materials Project database: an optimized crystal structure of Li2CuBiO4 (PBE).

The value obtained for the total magnetic moment is 0.0058 μB per atom. The calculation puts the calculated formation energy at -12.34 eV/f.u.

extended XYZ file:
```
8
Lattice="-2.1753 2.1753 4.6718 2.1753 -2.1753 4.6718 2.1753 2.1753 -4.6718" Properties=species:S:1:pos:R:3 pbc="T T T"
Li 2.1753 0.0000 2.3359
Li 0.0000 0.0000 4.6718
Cu 0.0000 2.1753 2.3359
Bi 0.0000 0.0000 0.0000
O 0.0000 2.1753 4.6526
O 0.0000 0.0000 2.2267
O 0.0000 0.0000 7.1170
O 0.0000 2.1753 0.0193
```


Record 2
Entry from the Materials Project database: an optimized crystal structure of K2Na4Ca5Si12O34 (PBE).

The value obtained for the total magnetic moment is 0.0702 μB per atom. The calculation puts the calculated formation energy at -169.79 eV/f.u.

extended XYZ file:
```
57
Lattice="3.5784 -1.2140 -6.4256 2.3861 -7.1785 7.0090 -11.1474 -2.6107 -5.7146" Properties=species:S:1:pos:R:3 pbc="T T T"
K -0.9248 -7.2348 -3.4720
K -4.2666 -3.7815 -1.6616
Na -0.0008 -0.0231 0.0039
Na 1.7601 -0.6228 -3.2260
Na 2.0406 -4.0254 1.8969
Na -3.9654 -2.0154 -6.1514
Ca -7.2441 -7.0016 -7.0352
Ca -7.4709 -7.2068 -0.6421
Ca -5.6860 -7.8124 -3.8472
Ca 2.2816 -3.8220 -4.5151
Ca 0.4742 -3.2088 -1.2696
Si -4.3368 -5.1931 -8.2487
Si -6.3982 -4.4938 -4.5472
Si -0.8879 -5.8597 3.1498
Si 1.2118 -6.5721 -0.6205
Si -3.5853 -5.3874 -5.3026
Si -1.5929 -5.6443 0.1793
Si 0.1876 -1.9075 -6.3783
Si -1.8973 -1.2002 -2.6345
Si -5.3648 -9.1092 1.2542
Si -3.2787 -9.8169 -2.4918
Si -1.2108 -3.6584 -4.3069
Si -3.9651 -7.3599 -0.8176
O -5.1325 -6.5680 -8.0679
O -6.8925 -5.9709 -4.9075
O -0.1810 -4.4211 3.1080
O 1.7832 -5.0875 -0.4192
O -3.4482 -4.8356 -6.8688
O -4.7213 -4.4037 -4.5829
O -1.7296 -6.1893 1.7403
O -0.4600 -6.6200 -0.5395
O -6.7633 -4.0173 -3.0074
O 1.4919 -7.1752 -2.1374
O -5.2967 -3.8842 -8.4862
O -6.9075 -3.3376 -5.5936
O 0.1367 -7.1193 3.3730
O 1.7519 -7.6673 0.4726
O -2.1518 -5.0002 -4.5775
O -3.0316 -6.0195 -0.5510
O 0.0992 -4.1040 -3.4932
O -1.3272 -4.0744 0.0307
O -3.8375 -6.9617 -5.1457
O -5.2789 -6.9324 -1.6300
O -0.9393 -3.0233 -5.8181
O -2.2158 -2.5903 -3.5261
O -4.2235 -8.0060 0.6919
O -2.9562 -8.4359 -1.5837
O 1.4685 -1.8416 -5.4340
O -0.4149 -1.2026 -2.0519
O -6.6470 -9.1735 0.3147
O -4.7575 -9.8146 -3.0782
O 2.4925 -2.8323 -2.4007
O 0.7548 -2.3276 0.8601
O -5.9475 -8.6976 -5.9927
O -7.6359 -8.2306 -2.6973
O -3.0885 -1.2709 -1.4798
O -2.0786 -9.7521 -3.6390
```


Record 3
Entry from the Materials Project database: an optimized crystal structure of HfP2O7 (PBE).

The calculation puts the calculated formation energy at -31.65 eV/f.u.

extended XYZ file:
```
20
Lattice="-1.9885 1.6989 4.3005 -2.5980 -6.5778 -1.0736 6.8140 -3.1128 3.8891" Properties=species:S:1:pos:R:3 pbc="T T T"
Hf 0.0000 0.0000 0.0000
Hf 1.1138 -3.9958 3.5579
P 3.7958 -2.3704 5.0768
P 2.5156 -6.8827 2.4043
P -0.2881 -1.1090 4.7116
P -1.5682 -5.6212 2.0391
O 5.0325 -3.2705 4.9392
O 3.8067 -7.6552 2.7159
O 3.7756 -1.6416 6.4201
O 2.3983 -5.5985 3.2179
O 2.4948 -3.1085 4.8124
O 1.2747 -7.8333 2.8352
O 0.3298 -4.9542 5.2103
O 1.8978 -3.0374 1.9056
O 0.9528 -0.1583 4.2807
O -0.2673 -4.8832 2.3035
O -0.1708 -2.3932 3.8979
O -1.5481 -6.3500 0.6958
O -1.5791 -0.3364 4.4000
O -2.8050 -4.7212 2.1767
```


Record 4
Entry from the Materials Project database: an optimized crystal structure of Sc6InCo2 (PBE).

The calculation puts the calculated formation energy at -2.96 eV/f.u.

extended XYZ file:
```
18
Lattice="-4.4193 4.4388 4.6655 4.4193 -4.4388 4.6655 4.4193 4.4388 -4.6655" Properties=species:S:1:pos:R:3 pbc="T T T"
Sc 0.0000 1.9204 2.1955
Sc 4.4193 2.5184 2.4700
Sc 4.4193 2.5184 -2.4700
Sc 0.0000 1.9204 7.1354
Sc 2.6398 0.0000 2.9208
Sc 1.7795 4.4388 1.7447
Sc 1.7795 4.4388 -1.7447
Sc 2.6398 0.0000 6.4101
Sc 2.5134 1.6899 0.0000
Sc 1.9059 2.7489 4.6655
Sc 6.3253 1.6899 0.0000
Sc -1.9059 2.7489 4.6655
In 0.0000 0.0000 4.6655
In 0.0000 0.0000 0.0000
Co 0.0000 3.2858 0.0000
Co 0.0000 5.5918 0.0000
Co 4.4193 0.0000 1.1032
Co 0.0000 4.4388 3.5622
```


Record 5
Entry from the Materials Project database: an optimized crystal structure of Ge2RuC4Cl6O4 (PBE).

The value obtained for the total magnetic moment is 0.0000 μB per atom. The calculation puts the calculated formation energy at -16.61 eV/f.u.

extended XYZ file:
```
34
Lattice="-1.5545 -1.8085 -10.0717 7.9250 -3.4402 -0.6054 3.6647 -11.5512 1.5086" Properties=species:S:1:pos:R:3 pbc="T T T"
Ge 3.0313 -7.0633 -2.7184
Ge 5.1149 -12.5465 -0.3359
Ge 7.0039 -9.7366 -6.4502
Ge 4.9203 -4.2534 -8.8327
Ru 1.0551 -6.6798 -4.2816
Ru 0.0000 0.0000 0.0000
C 1.8681 -4.9897 -4.8958
C 2.9773 -11.6066 -8.8265
C 8.1671 -11.8102 -4.2728
C 7.0579 -5.1934 -0.3421
C 8.0100 -9.1128 -3.4923
C 10.2028 -14.4690 -0.4025
C 2.0252 -7.6872 -5.6763
C -0.1676 -2.3310 -8.7661
Cl 2.7093 -6.6711 -0.5983
Cl 0.5025 -1.3311 -3.7787
Cl 7.3259 -10.1289 -8.5703
Cl 9.5327 -15.4688 -5.3899
Cl 3.7990 -9.1132 -2.7181
Cl 2.2908 -2.9605 -1.3720
Cl 6.2362 -7.6867 -6.4505
Cl 7.7444 -13.8395 -7.7966
Cl 4.8132 -5.8935 -3.2194
Cl 6.9015 -11.3713 -0.8068
Cl 5.2220 -10.9064 -5.9492
Cl 3.1337 -5.4286 -8.3618
O 2.3326 -4.0011 -5.2469
O 3.4716 -10.5833 -8.9847
O 7.7026 -12.7989 -3.9217
O 6.5636 -6.2167 -0.1839
O 7.4477 -8.5152 -2.6916
O 9.4004 -14.1507 -1.1570
O 2.5875 -8.2847 -6.4769
O 0.6348 -2.6492 -8.0116
```


Record 6
Entry from the Materials Project database: an optimized crystal structure of PrSbO4 (PBE).

The value obtained for the total magnetic moment is 0.0002 μB per atom. The calculation puts the calculated formation energy at -13.09 eV/f.u.

extended XYZ file:
```
24
Lattice="4.7491 0.0000 0.0000 0.0000 6.0338 0.0000 0.0000 5.0826 13.0579" Properties=species:S:1:pos:R:3 pbc="T T T"
Pr 4.0047 5.4798 4.7725
Pr 0.7443 8.0211 11.3014
Pr 0.7443 5.6366 8.2855
Pr 4.0047 3.0953 1.7565
Sb 1.0873 2.5561 5.2632
Sb 3.6618 5.0974 11.7921
Sb 1.0873 6.0189 1.2658
Sb 3.6618 8.5602 7.7948
O 1.7128 6.4604 4.2919
O 1.6488 5.2519 5.1903
O 4.7037 1.3131 0.1996
O 3.1003 5.8645 7.8676
O 0.4307 8.0371 8.9611
O 0.0453 3.8544 6.7286
O 3.1003 7.7931 11.7193
O 1.7128 2.1147 2.2370
O 3.0362 9.0017 10.8209
O 4.3184 5.4958 2.4321
O 0.0453 9.8032 12.8583
O 4.7037 7.2619 6.3294
O 4.3184 3.0793 4.0969
O 1.6488 3.3232 1.3386
O 0.4307 5.6206 10.6259
O 3.0362 4.6560 8.7660
```